Record 1
Ba4SiP4 | the Materials Project database | r2SCAN | relaxed; ΔE_f = -1.117 eV/atom
1.0
-9.904 0.264 -8.610
-7.554 -6.571 8.487
-4.140 11.359 5.110
Ba Si P
32 8 32
Cartesian
-18.204 1.883 2.851
-11.452 3.384 -4.869
-17.220 6.284 2.656
-6.585 -3.153 4.813
-16.838 4.057 6.564
-7.796 9.328 2.173
-13.842 -1.287 4.015
-9.599 6.389 -0.630
-13.101 1.689 6.979
-8.685 2.615 7.147
-12.879 7.192 2.366
-11.356 -2.070 0.329
-13.682 4.552 -1.207
-11.648 5.898 6.239
-14.923 0.687 0.102
-5.903 2.250 3.935
-7.311 -0.917 1.042
-10.906 -4.353 5.331
-7.654 1.072 -4.092
-11.643 -1.039 -3.984
-7.746 8.011 6.491
-4.603 6.489 3.631
-8.935 -1.652 8.364
-6.652 3.314 -0.388
-3.157 0.739 0.729
-9.850 -0.134 4.246
-10.537 1.865 -0.753
-8.851 5.109 3.259
-11.432 4.126 10.351
-15.510 -3.724 0.643
-13.094 8.963 -1.747
-13.956 3.264 3.223
-10.617 -4.796 2.061
-6.840 -1.511 -2.183
-4.812 -0.446 5.521
-6.882 5.234 8.076
-4.546 5.745 0.403
-10.798 2.526 2.494
0.000 0.000 0.000
-9.497 5.878 -3.902
-13.301 1.588 -2.654
-9.105 5.689 8.485
-10.804 9.275 0.700
-12.780 -4.170 2.561
-15.352 7.214 0.035
-14.038 4.680 8.293
-14.007 -1.955 -1.795
-4.729 -0.844 3.251
-5.572 0.319 -1.578
-11.676 6.332 -3.295
-9.048 -0.971 -1.790
-10.751 0.999 9.308
-6.662 4.885 5.807
-6.697 6.340 0.983
-11.841 -1.369 6.663
-4.001 3.871 1.631
-19.416 4.542 4.484
-11.454 4.363 1.284
-10.979 2.983 4.736
-12.143 0.742 1.966
-10.084 0.721 -6.368
-5.484 9.575 4.582
-8.209 -4.734 7.277
-8.618 2.016 1.990
-16.766 -1.097 2.332
-10.216 8.052 4.157
-14.690 6.080 4.916
-7.017 -0.044 6.064
-16.213 3.675 0.759
-8.861 3.965 -2.780
-15.794 1.168 5.109
-9.240 -3.058 2.693



Record 2
Ba4TiP4 | the Materials Project database | r2SCAN | relaxed; ΔE_f = -1.241 eV/atom
1.0
-9.761 -8.847 -1.624
6.744 -8.785 7.316
-5.951 4.555 10.955
Ba Ti P
32 8 32
Cartesian
-1.339 -1.952 2.485
-1.132 -7.209 8.023
-6.059 -7.227 5.354
-4.922 -3.226 9.109
-0.782 -4.918 15.302
-3.455 -14.320 6.478
-12.360 -4.962 9.031
-5.823 -8.490 10.809
-6.911 -12.668 11.953
-10.038 -7.642 3.367
-9.459 -9.201 13.304
2.502 -6.495 5.526
-5.345 -9.793 15.054
-7.948 0.028 9.556
-2.195 -11.049 9.247
-8.553 -3.640 7.105
-2.040 -8.191 12.535
-0.681 -4.218 10.892
-8.520 -5.347 11.279
-3.114 -10.146 4.925
-9.373 -8.027 7.754
-4.624 -4.532 13.057
-6.445 -11.257 7.755
-1.438 -2.649 6.896
-1.678 -6.127 4.035
1.892 -10.466 7.576
-6.534 -5.921 1.109
-6.604 -10.305 2.164
-4.375 -0.151 12.302
-3.832 0.951 7.963
2.845 -6.793 10.013
-5.148 -3.271 4.409
-4.484 -6.538 8.324
0.000 0.000 0.000
-10.297 -4.357 4.260
0.178 -11.012 4.675
-3.195 -6.620 1.017
1.884 -3.253 6.397
-1.091 -0.976 11.875
-5.416 0.066 5.072
-8.033 -11.713 14.913
-6.825 -6.070 8.534
-3.384 -6.057 10.398
-4.178 -8.851 7.775
-8.661 -8.365 0.450
-5.645 2.243 10.407
4.404 -8.316 7.526
-3.549 -5.175 6.589
-3.933 -10.850 12.189
-7.971 -4.886 3.971
-8.507 -10.330 10.133
1.026 -4.682 8.127
-6.906 -7.027 13.590
-6.783 -2.435 11.748
-4.653 -13.526 9.475
-11.141 -5.736 6.037
0.943 -6.398 12.876
-2.063 -2.405 13.544
-10.171 -2.605 9.868
-0.815 -12.300 6.444
-11.067 -7.485 10.765
-3.436 -6.919 15.320
-5.511 -12.487 4.617
0.704 -3.774 4.370
-3.513 -4.328 1.663
-0.034 -8.690 5.258
-4.214 -7.999 2.700
-8.204 -9.763 5.226
-2.251 -1.376 9.809
-6.347 -1.222 6.874
0.314 -9.194 10.263
-3.085 -0.492 4.907



Record 3
BaPb3 | the Materials Project database | r2SCAN | relaxed; ΔE_f = -0.425 eV/atom
1.0
-3.315 -3.026 2.471
1.460 -3.966 -2.897
3.624 -1.171 3.428
Ba Pb
1 3
Cartesian
0.000 0.000 0.000
2.542 -2.568 0.265
0.154 -2.098 2.950
-0.928 -3.496 -0.213



Record 4
BaPb3 | the Materials Project database | r2SCAN | relaxed; ΔE_f = -0.457 eV/atom
1.0
6.858 0.001 6.863
2.842 6.242 6.863
0.001 0.001 9.702
Ba Pb
3 9
Cartesian
7.598 4.890 18.349
2.103 1.353 5.078
0.000 0.000 0.000
5.840 1.877 9.968
4.128 4.538 9.968
2.916 1.877 11.179
4.850 3.121 6.863
1.421 3.121 8.282
3.429 0.001 8.282
3.860 4.366 13.459
6.784 4.366 12.248
5.573 1.705 13.459



What did the third record say?
BaPb3 | the Materials Project database | r2SCAN | relaxed; ΔE_f = -0.425 eV/atom
1.0
-3.315 -3.026 2.471
1.460 -3.966 -2.897
3.624 -1.171 3.428
Ba Pb
1 3
Cartesian
0.000 0.000 0.000
2.542 -2.568 0.265
0.154 -2.098 2.950
-0.928 -3.496 -0.213



> ΔE_f of number 2 (Ba4TiP4)?

-1.241 eV/atom